Compound: Na14Ca2Zr6Si9S3O48
Source: the Materials Project
Functional: GGA-PBE
Structure: relaxed

Cell lengths 18.628, 9.338, 22.988 Å; angles 90.05, 90.02, 120.06 degrees
Positions (direct):
O: 0.343 0.149 0.028
O: 0.094 0.209 0.413
O: 0.757 0.876 0.363
O: 0.259 0.694 0.254
O: 0.852 0.167 0.030
O: 0.941 0.537 0.136
O: 0.226 0.314 0.029
O: 0.254 0.660 0.573
O: 0.495 0.193 0.303
O: 0.095 0.179 0.809
O: 0.232 0.350 0.135
O: 0.959 0.384 0.646
O: 0.262 0.645 0.865
O: 0.324 0.153 0.425
O: 0.566 0.699 0.480
O: 0.739 0.314 0.750
O: 0.149 0.479 0.758
O: 0.244 0.361 0.420
O: 0.594 0.008 0.307
O: 0.149 0.867 0.977
O: 0.488 0.813 0.085
O: 0.752 0.660 0.583
O: 0.092 0.479 0.256
O: 0.921 0.813 0.588
O: 0.647 0.815 0.255
O: 0.397 0.968 0.696
O: 0.100 0.171 0.084
O: 0.757 0.641 0.859
O: 0.598 0.027 0.586
O: 0.087 0.206 0.694
O: 0.770 0.688 0.973
O: 0.682 0.493 0.363
O: 0.345 0.161 0.752
O: 0.580 0.458 0.254
O: 0.585 0.179 0.405
O: 0.236 0.319 0.753
O: 0.093 0.021 0.590
O: 0.407 0.008 0.811
O: 0.739 0.386 0.144
O: 0.094 0.016 0.303
O: 0.930 0.545 0.750
O: 0.429 0.311 0.249
O: 0.895 0.970 0.691
O: 0.013 0.812 0.699
O: 0.669 0.491 0.074
O: 0.259 0.822 0.757
O: 0.667 0.865 0.580
O: 0.238 0.090 0.646
O: 0.736 0.304 0.031
O: 0.423 0.526 0.750
O: 0.505 0.824 0.410
O: 0.184 0.875 0.863
O: 0.759 0.825 0.755
O: 0.170 0.847 0.574
O: 0.160 0.457 0.469
O: 0.926 0.512 0.420
O: 0.563 0.475 0.857
O: 0.282 0.692 0.970
O: 0.736 0.152 0.252
O: 0.658 0.862 0.969
O: 0.343 0.526 0.250
O: 0.510 0.209 0.197
O: 0.729 0.109 0.637
O: 0.416 0.528 0.031
O: 0.929 0.548 0.030
O: 0.442 0.344 0.637
O: 0.170 0.472 0.078
O: 0.236 0.168 0.533
O: 0.816 0.096 0.144
O: 0.314 0.105 0.143
O: 0.926 0.366 0.921
O: 0.091 0.976 0.188
O: 0.910 0.817 0.911
O: 0.068 0.498 0.865
O: 0.317 0.539 0.645
O: 0.081 0.701 0.756
O: 0.423 0.032 0.087
O: 0.080 0.490 0.571
O: 0.250 0.160 0.922
O: 0.574 0.461 0.973
O: 0.757 0.691 0.254
O: 0.842 0.532 0.530
O: 0.238 0.162 0.250
O: 0.924 0.324 0.249
O: 0.912 0.994 0.409
O: 0.006 0.187 0.910
O: 0.787 0.867 0.478
O: 0.065 0.649 0.357
O: 0.595 0.178 0.803
O: 0.017 0.213 0.191
O: 0.177 0.475 0.363
O: 0.425 0.343 0.921
O: 0.085 0.988 0.907
O: 0.516 0.823 0.694
O: 0.493 0.812 0.807
O: 0.593 0.165 0.089
O: 0.064 0.650 0.080
O: 0.590 0.204 0.689
O: 0.258 0.875 0.359
O: 0.008 0.836 0.414
O: 0.075 0.685 0.473
O: 0.910 0.006 0.803
O: 0.564 0.477 0.580
O: 0.750 0.350 0.423
O: 0.844 0.527 0.251
O: 0.503 0.173 0.915
O: 0.394 0.817 0.188
O: 0.922 0.018 0.085
O: 0.068 0.432 0.979
O: 0.819 0.150 0.423
O: 0.825 0.495 0.924
O: 0.351 0.535 0.531
O: 0.256 0.838 0.080
O: 0.907 0.804 0.308
O: 0.843 0.159 0.750
O: 0.895 0.823 0.194
O: 0.411 0.816 0.301
O: 0.591 0.705 0.758
O: 0.651 0.476 0.752
O: 0.724 0.137 0.532
O: 0.488 0.175 0.586
O: 0.410 0.003 0.411
O: 0.917 0.309 0.533
O: 0.579 0.670 0.069
O: 0.400 0.812 0.909
O: 0.151 0.827 0.252
O: 0.271 0.853 0.474
O: 0.988 0.800 0.085
O: 0.989 0.165 0.585
O: 0.819 0.530 0.646
O: 0.456 0.529 0.143
O: 0.742 0.126 0.920
O: 0.319 0.509 0.919
O: 0.425 0.486 0.422
O: 0.429 0.309 0.532
O: 0.994 0.175 0.304
O: 0.996 0.796 0.805
O: 0.564 0.635 0.363
O: 0.641 0.423 0.477
O: 0.755 0.849 0.071
O: 0.588 0.972 0.193
O: 0.422 0.826 0.585
O: 0.675 0.878 0.863
O: 0.592 0.978 0.913
Si: 0.351 0.994 0.754
Si: 0.665 0.364 0.418
Si: 0.144 0.295 0.753
Si: 0.520 0.366 0.916
Si: 0.333 0.028 0.087
Si: 0.644 0.991 0.252
Si: 0.484 0.631 0.084
Si: 0.985 0.340 0.584
Si: 0.814 0.660 0.916
Si: 0.146 0.001 0.249
Si: 0.336 0.637 0.584
Si: 0.315 0.969 0.416
Si: 0.005 0.301 0.252
Si: 0.021 0.675 0.415
Si: 0.648 0.294 0.747
Si: 0.015 0.370 0.920
Si: 0.515 0.659 0.420
Si: 0.831 0.632 0.587
Si: 0.350 0.707 0.249
Si: 0.836 0.034 0.083
Si: 0.849 0.704 0.253
Si: 0.185 0.036 0.586
Si: 0.504 0.709 0.753
Si: 0.821 0.976 0.420
Si: 0.850 0.994 0.749
Si: 0.685 0.334 0.086
Si: 0.167 0.971 0.918
S: 0.183 0.329 0.082
S: 0.681 0.035 0.584
S: 0.481 0.330 0.584
S: 0.317 0.665 0.916
S: 0.167 0.376 0.416
S: 0.003 0.713 0.752
S: 0.666 0.958 0.916
S: 0.980 0.632 0.083
S: 0.503 0.292 0.251
Na: 0.011 0.329 0.075
Na: 0.317 0.617 0.740
Na: 0.668 0.032 0.413
Na: 0.659 0.974 0.089
Na: 0.170 0.660 0.660
Na: 0.832 0.955 0.571
Na: 0.991 0.618 0.256
Na: 0.848 0.674 0.419
Na: 0.311 0.004 0.244
Na: 0.160 0.965 0.084
Na: 0.196 0.027 0.744
Na: 0.826 0.318 0.831
Na: 0.994 0.345 0.741
Na: 0.350 0.038 0.912
Na: 0.338 0.339 0.825
Na: 0.837 0.329 0.329
Na: 0.188 0.366 0.254
Na: 0.812 0.621 0.740
Na: 0.998 0.996 0.496
Na: 0.513 0.693 0.570
Na: 0.827 0.689 0.088
Na: 0.509 0.019 0.003
Na: 0.677 0.669 0.666
Na: 0.987 0.000 0.994
Na: 0.495 0.638 0.247
Na: 0.157 0.341 0.586
Na: 0.491 0.979 0.493
Na: 0.672 0.681 0.169
Na: 0.661 0.357 0.577
Na: 0.690 0.009 0.749
Na: 0.489 0.305 0.419
Na: 0.985 0.671 0.919
Na: 0.817 0.017 0.247
Na: 0.696 0.369 0.249
Na: 0.514 0.335 0.084
Na: 0.161 0.291 0.914
Na: 0.327 0.335 0.332
Na: 0.175 0.682 0.171
Na: 0.327 0.965 0.584
Na: 0.493 0.369 0.752
Na: 0.010 0.691 0.579
Na: 0.334 0.706 0.085
Ca: 0.165 0.671 0.012
Ca: 0.836 0.334 0.681
Ca: 0.336 0.337 0.183
Ca: 0.669 0.665 0.510
Ca: 0.329 0.334 0.684
Ca: 0.829 0.324 0.185
Zr: 0.499 0.987 0.146
Zr: 0.165 0.668 0.817
Zr: 0.496 0.982 0.355
Zr: 0.504 0.010 0.850
Zr: 0.828 0.321 0.980
Zr: 0.342 0.328 0.981
Zr: 0.999 0.998 0.351
Zr: 0.998 0.011 0.644
Zr: 0.328 0.335 0.480
Zr: 0.168 0.679 0.516
Zr: 0.843 0.349 0.477
Zr: 0.668 0.657 0.016
Zr: 0.496 0.988 0.653
Zr: 0.166 0.682 0.313
Zr: 0.996 0.003 0.154
Zr: 0.671 0.678 0.321
Zr: 0.995 0.008 0.855
Zr: 0.666 0.651 0.813

Values from the calculation:
DFT total energy ... -1735.54 eV for the cell shown
Formation energy ... -238.94 eV/f.u.